Material: LuFe2O4
Method: DFT, PBE with a Hubbard U
State: relaxed

Summary:
- M_tot: 54.00 Bohr magnetons per cell
- V: 88 Å³/f.u.
- Distance to the lowest polymorph of the same formula: 0.00 eV per formula unit
- Energy of formation from the pure elements: -2.460 eV per atom
- Crystal system: monoclinic

abc: 6.0122 6.0122 16.9065
angles: 93.36 93.36 119.82
Sites, in units of the cell vectors:
Lu1 0.0837 0.4141 0.7469
Lu2 0.2452 0.2452 0.2392
Lu3 0.4141 0.0837 0.7469
Lu4 0.5859 0.9163 0.2531
Lu5 0.7548 0.7548 0.7608
Lu6 0.9163 0.5859 0.2531
Fe1 0.0212 0.6912 0.5718
Fe2 0.1457 0.1457 0.9294
Fe3 0.1907 0.5261 0.0709
Fe4 0.3088 0.9788 0.4282
Fe5 0.3614 0.3614 0.5739
Fe6 0.4739 0.8093 0.9291
Fe7 0.5261 0.1907 0.0709
Fe8 0.6386 0.6386 0.4261
Fe9 0.6912 0.0212 0.5718
Fe10 0.8093 0.4739 0.9291
Fe11 0.8543 0.8543 0.0706
Fe12 0.9788 0.3088 0.4282
O1 0.0032 0.3553 0.5598
O2 0.0534 0.7301 0.6891
O3 0.1125 0.1125 0.8092
O4 0.1467 0.4853 0.9446
O5 0.1946 0.1946 0.0652
O6 0.2284 0.5738 0.1890
O7 0.2699 0.9466 0.3109
O8 0.2974 0.2974 0.4474
O9 0.3553 0.0032 0.5598
O10 0.4097 0.4097 0.6917
O11 0.4262 0.7716 0.8110
O12 0.4853 0.1467 0.9446
O13 0.5147 0.8533 0.0554
O14 0.5738 0.2284 0.1890
O15 0.5903 0.5903 0.3083
O16 0.6447 0.9968 0.4402
O17 0.7026 0.7026 0.5526
O18 0.7301 0.0534 0.6891
O19 0.7716 0.4262 0.8110
O20 0.8054 0.8054 0.9348
O21 0.8533 0.5147 0.0554
O22 0.8875 0.8875 0.1908
O23 0.9466 0.2699 0.3109
O24 0.9968 0.6447 0.4402

---

Material: LuFeO3
Method: DFT, PBE with a Hubbard U
State: relaxed

Summary:
- V: 62 Å³/f.u.
- Energy of formation from the pure elements: -2.902 eV per atom
- Crystal system: hexagonal

abc: 6.0302 6.0302 11.7414
angles: 90.00 90.00 120.00
Sites, in units of the cell vectors:
Lu1 0.0000 0.0000 0.0000
Lu2 0.0000 0.0000 0.5000
Lu3 0.3333 0.6667 0.0433
Lu4 0.3333 0.6667 0.5433
Lu5 0.6667 0.3333 0.0433
Lu6 0.6667 0.3333 0.5433
Fe1 0.0000 0.3340 0.2753
Fe2 0.0000 0.6660 0.7753
Fe3 0.3340 0.0000 0.2753
Fe4 0.3340 0.3340 0.7753
Fe5 0.6660 0.0000 0.7753
Fe6 0.6660 0.6660 0.2753
O1 0.0000 0.0000 0.3015
O2 0.0000 0.0000 0.8015
O3 0.0000 0.3047 0.1084
O4 0.0000 0.3619 0.4404
O5 0.0000 0.6381 0.9404
O6 0.0000 0.6953 0.6084
O7 0.3047 0.0000 0.1084
O8 0.3047 0.3047 0.6084
O9 0.3333 0.6667 0.2531
O10 0.3333 0.6667 0.7531
O11 0.3619 0.0000 0.4404
O12 0.3619 0.3619 0.9404
O13 0.6381 0.0000 0.9404
O14 0.6381 0.6381 0.4404
O15 0.6667 0.3333 0.2531
O16 0.6667 0.3333 0.7531
O17 0.6953 0.0000 0.6084
O18 0.6953 0.6953 0.1084

---

Material: LuScFe2O6
Method: DFT, PBE with a Hubbard U
State: relaxed

Summary:
- M_tot: 30.00 Bohr magnetons per cell
- V: 119 Å³/f.u.
- Energy of formation from the pure elements: -2.839 eV per atom
- Crystal system: trigonal

abc: 5.9505 5.9505 11.6892
angles: 90.00 90.00 120.00
Sites, in units of the cell vectors:
Lu1 0.0000 0.0000 0.9999
Lu2 0.0000 0.0000 0.5003
Lu3 0.3333 0.6667 0.0000
Sc1 0.3333 0.6667 0.5009
Sc2 0.6667 0.3333 0.0402
Sc3 0.6667 0.3333 0.5398
Fe1 0.3357 0.0011 0.7657
Fe2 0.3358 0.3349 0.2677
Fe3 0.6651 0.0008 0.2677
Fe4 0.6654 0.6643 0.7657
Fe5 0.9989 0.3346 0.7657
Fe6 0.9992 0.6642 0.2677
O1 0.0000 0.0000 0.2903
O2 0.0000 0.0000 0.7859
O3 0.0182 0.6855 0.1011
O4 0.0257 0.3403 0.5993
O5 0.3145 0.3328 0.1011
O6 0.3146 0.9743 0.5993
O7 0.3333 0.6667 0.2860
O8 0.3333 0.6667 0.7892
O9 0.3672 0.3436 0.4362
O10 0.3676 0.0347 0.9338
O11 0.6564 0.0237 0.4362
O12 0.6597 0.6854 0.5993
O13 0.6667 0.3333 0.2414
O14 0.6667 0.3333 0.7372
O15 0.6672 0.6324 0.9338
O16 0.6672 0.9818 0.1011
O17 0.9653 0.3328 0.9338
O18 0.9763 0.6328 0.4362

---

Material: LuZnFeO4
Method: DFT, PBE with a Hubbard U
State: relaxed

Summary:
- M_tot: 5.00 Bohr magnetons per cell
- V: 88 Å³/f.u.
- Energy of formation from the pure elements: -2.553 eV per atom
- Crystal system: trigonal

abc: 8.8318 8.8318 8.8318
angles: 22.39 22.39 22.39
Sites, in units of the cell vectors:
Lu1 0.0000 0.0000 0.0000
Zn1 0.2162 0.2162 0.2162
Fe1 0.7836 0.7836 0.7836
O1 0.1170 0.1170 0.1170
O2 0.2932 0.2932 0.2932
O3 0.7068 0.7068 0.7068
O4 0.8620 0.8620 0.8620

---

Material: LuZn4FeO7
Method: DFT, PBE with a Hubbard U
State: relaxed

Summary:
- M_tot: 10.01 Bohr magnetons per cell
- V: 162 Å³/f.u.
- Energy of formation from the pure elements: -2.190 eV per atom
- Crystal system: hexagonal

abc: 3.3617 3.3617 33.2037
angles: 90.00 90.00 120.00
Sites, in units of the cell vectors:
Lu1 0.0000 0.0000 0.0000
Lu2 0.0000 0.0000 0.5000
Zn1 0.0000 0.0000 0.1702
Zn2 0.0000 0.0000 0.3298
Zn3 0.0000 0.0000 0.6702
Zn4 0.0000 0.0000 0.8298
Zn5 0.3333 0.6667 0.0919
Zn6 0.3333 0.6667 0.4081
Zn7 0.6667 0.3333 0.5919
Zn8 0.6667 0.3333 0.9081
Fe1 0.3333 0.6667 0.2500
Fe2 0.6667 0.3333 0.7500
O1 0.0000 0.0000 0.1099
O2 0.0000 0.0000 0.2500
O3 0.0000 0.0000 0.3901
O4 0.0000 0.0000 0.6099
O5 0.0000 0.0000 0.7500
O6 0.0000 0.0000 0.8901
O7 0.3333 0.6667 0.0324
O8 0.3333 0.6667 0.1886
O9 0.3333 0.6667 0.3114
O10 0.3333 0.6667 0.4676
O11 0.6667 0.3333 0.5324
O12 0.6667 0.3333 0.6886
O13 0.6667 0.3333 0.8114
O14 0.6667 0.3333 0.9676

---

Material: MgMn4Fe2O8
Method: DFT, PBE with a Hubbard U
State: relaxed

Summary:
- M_tot: 28.00 Bohr magnetons per cell
- V: 176 Å³/f.u.
- Distance to the lowest polymorph of the same formula: 0.25 eV per formula unit
- Energy of formation from the pure elements: -1.880 eV per atom
- Crystal system: triclinic

abc: 6.0477 6.1227 6.3890
angles: 115.67 92.67 119.18
Sites, in units of the cell vectors:
Mg1 0.0000 0.0000 0.0000
Mn1 0.0000 0.5000 0.0000
Mn2 0.1802 0.3230 0.4652
Mn3 0.5000 0.5000 0.0000
Mn4 0.8198 0.6770 0.5348
Fe1 0.5000 0.0000 0.0000
Fe2 0.5000 0.0000 0.5000
O1 0.2347 0.9868 0.7675
O2 0.2688 0.0012 0.2413
O3 0.2706 0.4784 0.2202
O4 0.2887 0.5634 0.8267
O5 0.7113 0.4366 0.1733
O6 0.7294 0.5216 0.7798
O7 0.7312 0.9988 0.7587
O8 0.7653 0.0132 0.2325

---

Material: MgMn3FeO8
Method: DFT, PBE with a Hubbard U
State: relaxed

Summary:
- M_tot: 11.00 Bohr magnetons per cell
- V: 147 Å³/f.u.
- Distance to the lowest polymorph of the same formula: 0.93 eV per formula unit
- Energy of formation from the pure elements: -1.884 eV per atom
- Crystal system: monoclinic

abc: 5.8676 5.8676 5.8352
angles: 117.77 117.77 59.91
Sites, in units of the cell vectors:
Mg1 0.0000 0.0000 0.0000
Mn1 0.1226 0.6125 0.3744
Mn2 0.6125 0.1226 0.3744
Mn3 0.6150 0.6150 0.8674
Fe1 0.6144 0.6144 0.3750
O1 0.3561 0.3561 0.5752
O2 0.3685 0.8119 0.5975
O3 0.3835 0.3835 0.1699
O4 0.4111 0.8599 0.1402
O5 0.8119 0.3685 0.5975
O6 0.8517 0.8517 0.5868
O7 0.8599 0.4111 0.1402
O8 0.8705 0.8705 0.1569

---

Material: Mg6MnFeO8
Method: DFT, PBE with a Hubbard U
State: relaxed

Summary:
- M_tot: 9.00 Bohr magnetons per cell
- V: 160 Å³/f.u.
- Distance to the lowest polymorph of the same formula: 0.11 eV per formula unit
- Energy of formation from the pure elements: -2.628 eV per atom
- Crystal system: tetragonal

abc: 4.2959 4.2959 8.6477
angles: 90.00 90.00 90.00
Sites, in units of the cell vectors:
Mg1 0.0000 0.0000 0.0000
Mg2 0.0000 0.5000 0.2464
Mg3 0.0000 0.5000 0.7536
Mg4 0.5000 0.0000 0.2464
Mg5 0.5000 0.0000 0.7536
Mg6 0.5000 0.5000 0.0000
Mn1 0.0000 0.0000 0.5000
Fe1 0.5000 0.5000 0.5000
O1 0.0000 0.0000 0.2421
O2 0.0000 0.0000 0.7579
O3 0.0000 0.5000 0.0000
O4 0.0000 0.5000 0.5000
O5 0.5000 0.0000 0.0000
O6 0.5000 0.0000 0.5000
O7 0.5000 0.5000 0.2446
O8 0.5000 0.5000 0.7554

---

Material: MgMn4Fe2O8
Method: DFT, PBE with a Hubbard U
State: relaxed

Summary:
- M_tot: 28.00 Bohr magnetons per cell
- V: 175 Å³/f.u.
- Distance to the lowest polymorph of the same formula: 0.00 eV per formula unit
- Energy of formation from the pure elements: -1.896 eV per atom
- Crystal system: triclinic

abc: 6.0147 6.1324 6.3601
angles: 63.15 89.67 60.73
Sites, in units of the cell vectors:
Mg1 0.0000 0.0000 0.0000
Mn1 0.0000 0.5000 0.0000
Mn2 0.1472 0.6853 0.4637
Mn3 0.5000 0.0000 0.5000
Mn4 0.8528 0.3147 0.5363
Fe1 0.5000 0.0000 0.0000
Fe2 0.5000 0.5000 0.0000
O1 0.2240 0.5202 0.2166
O2 0.2565 0.9956 0.7690
O3 0.2566 0.9869 0.2383
O4 0.2668 0.4359 0.8256
O5 0.7332 0.5641 0.1744
O6 0.7434 0.0131 0.7617
O7 0.7435 0.0044 0.2310
O8 0.7760 0.4798 0.7834

---

Material: MgMn4Fe2O8
Method: DFT, PBE with a Hubbard U
State: relaxed

Summary:
- M_tot: 26.00 Bohr magnetons per cell
- V: 175 Å³/f.u.
- Distance to the lowest polymorph of the same formula: 0.41 eV per formula unit
- Energy of formation from the pure elements: -1.869 eV per atom
- Crystal system: triclinic

abc: 6.0732 6.0942 6.3508
angles: 116.08 92.30 118.77
Sites, in units of the cell vectors:
Mg1 0.0000 0.0000 0.0000
Mn1 0.0000 0.5000 0.0000
Mn2 0.5000 0.0000 0.0000
Mn3 0.5000 0.0000 0.5000
Mn4 0.5000 0.5000 0.0000
Fe1 0.1513 0.3058 0.4677
Fe2 0.8487 0.6942 0.5323
O1 0.2214 0.4773 0.2204
O2 0.2376 0.0124 0.2594
O3 0.2614 0.5706 0.8248
O4 0.2632 0.0075 0.7794
O5 0.7368 0.9925 0.2206
O6 0.7386 0.4294 0.1752
O7 0.7624 0.9876 0.7406
O8 0.7786 0.5227 0.7796

---

Material: MgMn4FeO8
Method: DFT, PBE with a Hubbard U
State: relaxed

Summary:
- M_tot: 22.00 Bohr magnetons per cell
- V: 158 Å³/f.u.
- Distance to the lowest polymorph of the same formula: 0.00 eV per formula unit
- Energy of formation from the pure elements: -1.988 eV per atom
- Crystal system: monoclinic

abc: 6.0730 6.0730 6.0681
angles: 119.47 119.47 58.85
Sites, in units of the cell vectors:
Mg1 0.0000 0.0000 0.0000
Mn1 0.0000 0.0000 0.5000
Mn2 0.0000 0.5000 0.5000
Mn3 0.5000 0.0000 0.5000
Mn4 0.5000 0.5000 0.0000
Fe1 0.5000 0.5000 0.5000
O1 0.2513 0.7473 0.7423
O2 0.2530 0.2530 0.7156
O3 0.2527 0.7487 0.2577
O4 0.2570 0.2570 0.2927
O5 0.7430 0.7430 0.7073
O6 0.7473 0.2513 0.7423
O7 0.7470 0.7470 0.2844
O8 0.7487 0.2527 0.2577

---

Material: MgMn3FeO8
Method: DFT, PBE with a Hubbard U
State: relaxed

Summary:
- M_tot: 9.00 Bohr magnetons per cell
- V: 147 Å³/f.u.
- Distance to the lowest polymorph of the same formula: 1.54 eV per formula unit
- Energy of formation from the pure elements: -1.837 eV per atom
- Crystal system: trigonal

abc: 5.9403 5.9403 5.9403
angles: 59.51 59.51 59.51
Sites, in units of the cell vectors:
Mg1 0.0000 0.0000 0.0000
Mn1 0.0000 0.5000 0.5000
Mn2 0.5000 0.0000 0.5000
Mn3 0.5000 0.5000 0.0000
Fe1 0.5000 0.5000 0.5000
O1 0.2489 0.2489 0.7118
O2 0.2489 0.7118 0.2489
O3 0.2658 0.2658 0.2658
O4 0.2882 0.7511 0.7511
O5 0.7118 0.2489 0.2489
O6 0.7342 0.7342 0.7342
O7 0.7511 0.2882 0.7511
O8 0.7511 0.7511 0.2882

---

Material: MgMn3FeO8
Method: DFT, PBE with a Hubbard U
State: relaxed

Summary:
- M_tot: 13.00 Bohr magnetons per cell
- V: 214 Å³/f.u.
- Distance to the lowest polymorph of the same formula: 5.73 eV per formula unit
- Energy of formation from the pure elements: -1.514 eV per atom
- Crystal system: monoclinic

abc: 5.8594 5.8594 7.9617
angles: 111.54 111.54 60.00
Sites, in units of the cell vectors:
Mg1 0.0000 0.0000 0.0000
Mn1 0.0599 0.0599 0.6847
Mn2 0.0596 0.5661 0.6847
Mn3 0.5661 0.0596 0.6847
Fe1 0.1285 0.1285 0.3838
O1 0.2469 0.7917 0.8296
O2 0.2731 0.2731 0.8185
O3 0.3312 0.8668 0.5283
O4 0.3316 0.3316 0.5284
O5 0.7917 0.2469 0.8296
O6 0.7915 0.7915 0.8296
O7 0.8487 0.8487 0.5448
O8 0.8668 0.3312 0.5283

---

Material: MgMn4Fe2O8
Method: DFT, PBE with a Hubbard U
State: relaxed

Summary:
- M_tot: 28.00 Bohr magnetons per cell
- V: 182 Å³/f.u.
- Distance to the lowest polymorph of the same formula: 1.06 eV per formula unit
- Energy of formation from the pure elements: -1.826 eV per atom
- Crystal system: triclinic

abc: 6.0731 6.3492 6.3520
angles: 60.35 62.02 87.80
Sites, in units of the cell vectors:
Mg1 0.0000 0.0000 0.0000
Mn1 0.0238 0.8132 0.4720
Mn2 0.2879 0.3264 0.4305
Mn3 0.5228 0.8340 0.3900
Mn4 0.9214 0.4391 0.1386
Fe1 0.5527 0.8625 0.8415
Fe2 0.5675 0.3479 0.8322
O1 0.3232 0.5961 0.8420
O2 0.3390 0.6860 0.2975
O3 0.3512 0.1055 0.2744
O4 0.3667 0.1534 0.7702
O5 0.7484 0.5682 0.8880
O6 0.7972 0.6398 0.3446
O7 0.8006 0.0531 0.3307
O8 0.8395 0.1466 0.7701

---

Material: MgMn4FeO8
Method: DFT, PBE with a Hubbard U
State: relaxed

Summary:
- M_tot: 12.80 Bohr magnetons per cell
- V: 161 Å³/f.u.
- Distance to the lowest polymorph of the same formula: 0.33 eV per formula unit
- Energy of formation from the pure elements: -1.965 eV per atom
- Crystal system: triclinic

abc: 5.8632 6.0413 6.0685
angles: 117.67 93.59 116.28
Sites, in units of the cell vectors:
Mg1 0.0000 0.0000 0.0000
Mn1 0.4559 0.9959 0.5185
Mn2 0.4680 0.5210 0.0164
Mn3 0.9503 0.4840 0.5000
Mn4 0.9553 0.4927 0.0099
Fe1 0.9571 0.9969 0.5105
O1 0.1770 0.4796 0.7856
O2 0.1767 0.9259 0.2469
O3 0.1869 0.4578 0.2176
O4 0.2095 0.9703 0.7279
O5 0.6892 0.0117 0.3001
O6 0.7321 0.5116 0.2311
O7 0.7324 0.5370 0.8037
O8 0.7396 0.0650 0.7816

---

Material: Mg6MnFeO8
Method: DFT, PBE with a Hubbard U
State: relaxed

Summary:
- M_tot: 9.00 Bohr magnetons per cell
- V: 160 Å³/f.u.
- Distance to the lowest polymorph of the same formula: 0.00 eV per formula unit
- Energy of formation from the pure elements: -2.635 eV per atom
- Crystal system: tetragonal

abc: 4.3011 4.3011 8.6722
angles: 90.00 90.00 90.00
Sites, in units of the cell vectors:
Mg1 0.0000 0.0000 0.0000
Mg2 0.0000 0.0000 0.5000
Mg3 0.0000 0.5000 0.2488
Mg4 0.0000 0.5000 0.7512
Mg5 0.5000 0.0000 0.2488
Mg6 0.5000 0.0000 0.7512
Mn1 0.5000 0.5000 0.5000
Fe1 0.5000 0.5000 0.0000
O1 0.0000 0.0000 0.2489
O2 0.0000 0.0000 0.7511
O3 0.0000 0.5000 0.0000
O4 0.0000 0.5000 0.5000
O5 0.5000 0.0000 0.0000
O6 0.5000 0.0000 0.5000
O7 0.5000 0.5000 0.2480
O8 0.5000 0.5000 0.7520